1.
{
  "formula": "Sc5Si10Rh4",
  "functional": "PBE",
  "state": "optimized geometry",
  "formation_enthalpy_0k_ev_per_atom": -0.83,
  "density_g_cm3": 4.86,
  "spacegroup": "No. 127",
  "m_tot_mub_per_atom": 0.00,
  "lattice": [[12.4183, 0.0000, 0.0000], [0.0000, 12.4183, 0.0000], [0.0000, 0.0000, 4.0636]],
  "species": ["Sc", "Sc", "Sc", "Sc", "Sc", "Sc", "Sc", "Sc", "Sc", "Sc", "Si", "Si", "Si", "Si", "Si", "Si", "Si", "Si", "Si", "Si", "Si", "Si", "Si", "Si", "Si", "Si", "Si", "Si", "Si", "Si", "Rh", "Rh", "Rh", "Rh", "Rh", "Rh", "Rh", "Rh"],
  "fractional_positions": [[0.0000, 0.0000, 0.0000], [0.1134, 0.3866, 0.5000], [0.1752, 0.6752, 0.5000], [0.3248, 0.1752, 0.5000], [0.3866, 0.8866, 0.5000], [0.5000, 0.5000, 0.0000], [0.6134, 0.1134, 0.5000], [0.6752, 0.8248, 0.5000], [0.8248, 0.3248, 0.5000], [0.8866, 0.6134, 0.5000], [0.0028, 0.8471, 0.5000], [0.0659, 0.5659, 0.0000], [0.1529, 0.0028, 0.5000], [0.1636, 0.2011, 0.0000], [0.2011, 0.8364, 0.0000], [0.2989, 0.3364, 0.0000], [0.3364, 0.7011, 0.0000], [0.3471, 0.5028, 0.5000], [0.4341, 0.0659, 0.0000], [0.4972, 0.3471, 0.5000], [0.5028, 0.6529, 0.5000], [0.5659, 0.9341, 0.0000], [0.6529, 0.4972, 0.5000], [0.6636, 0.2989, 0.0000], [0.7011, 0.6636, 0.0000], [0.7989, 0.1636, 0.0000], [0.8364, 0.7989, 0.0000], [0.8471, 0.9972, 0.5000], [0.9341, 0.4341, 0.0000], [0.9972, 0.1529, 0.5000], [0.0208, 0.7540, 0.0000], [0.2460, 0.0208, 0.0000], [0.2540, 0.5208, 0.0000], [0.4792, 0.2540, 0.0000], [0.5208, 0.7460, 0.0000], [0.7460, 0.4792, 0.0000], [0.7540, 0.9792, 0.0000], [0.9792, 0.2460, 0.0000]]
}

***

2.
{
  "formula": "EuZnAu",
  "functional": "PBE",
  "state": "optimized geometry",
  "formation_enthalpy_0k_ev_per_atom": -0.63,
  "density_g_cm3": 9.70,
  "spacegroup": "No. 62",
  "lattice": [[7.5455, 0.0000, 0.0000], [0.0000, 4.6927, 0.0000], [0.0000, 0.0000, 8.0115]],
  "species": ["Eu", "Eu", "Eu", "Eu", "Zn", "Zn", "Zn", "Zn", "Au", "Au", "Au", "Au"],
  "fractional_positions": [[0.0052, 0.2500, 0.1983], [0.4948, 0.7500, 0.6983], [0.5052, 0.2500, 0.3017], [0.9948, 0.7500, 0.8017], [0.1766, 0.2500, 0.5805], [0.3234, 0.7500, 0.0805], [0.6766, 0.2500, 0.9195], [0.8234, 0.7500, 0.4195], [0.2039, 0.7500, 0.4060], [0.2961, 0.2500, 0.9060], [0.7039, 0.7500, 0.0940], [0.7961, 0.2500, 0.5940]]
}

***

3.
{
  "formula": "MnC3NCl3",
  "functional": "PBE",
  "state": "optimized geometry",
  "formation_enthalpy_0k_ev_per_atom": 0.62,
  "density_g_cm3": 1.85,
  "spacegroup": "No. 62",
  "m_tot_mub_per_atom": 0.58,
  "lattice": [[14.9404, 0.0000, 0.0000], [0.0000, 5.9130, 0.0000], [0.0000, 0.0000, 8.5662]],
  "species": ["Mn", "Mn", "Mn", "Mn", "C", "C", "C", "C", "C", "C", "C", "C", "C", "C", "C", "C", "N", "N", "N", "N", "Cl", "Cl", "Cl", "Cl", "Cl", "Cl", "Cl", "Cl", "Cl", "Cl", "Cl", "Cl"],
  "fractional_positions": [[0.0000, 0.0000, 0.0000], [0.0000, 0.5000, 0.0000], [0.5000, 0.0000, 0.5000], [0.5000, 0.5000, 0.5000], [0.1263, 0.1376, 0.4555], [0.1263, 0.3624, 0.4555], [0.2405, 0.2500, 0.6897], [0.2595, 0.7500, 0.1897], [0.3737, 0.6376, 0.9555], [0.3737, 0.8624, 0.9555], [0.6263, 0.1376, 0.0445], [0.6263, 0.3624, 0.0445], [0.7405, 0.2500, 0.8103], [0.7595, 0.7500, 0.3103], [0.8737, 0.6376, 0.5445], [0.8737, 0.8624, 0.5445], [0.1881, 0.2500, 0.5826], [0.3119, 0.7500, 0.0826], [0.6881, 0.2500, 0.9174], [0.8119, 0.7500, 0.4174], [0.0265, 0.7500, 0.2110], [0.0913, 0.7500, 0.8533], [0.1194, 0.2500, 0.0660], [0.3806, 0.7500, 0.5660], [0.4087, 0.2500, 0.3533], [0.4735, 0.2500, 0.7110], [0.5265, 0.7500, 0.2890], [0.5913, 0.7500, 0.6467], [0.6194, 0.2500, 0.4340], [0.8806, 0.7500, 0.9340], [0.9087, 0.2500, 0.1467], [0.9735, 0.2500, 0.7890]]
}

***

4.
{
  "formula": "Mg9Si5",
  "functional": "PBE",
  "state": "optimized geometry",
  "formation_enthalpy_0k_ev_per_atom": -0.02,
  "density_g_cm3": 2.13,
  "spacegroup": "No. 1",
  "m_tot_mub_per_atom": 0.00,
  "de_polymorph_mev_per_atom": 68,
  "lattice": [[7.0860, 0.0000, 0.0000], [3.4764, 6.3226, 0.0000], [1.9921, 2.1720, 12.4958]],
  "species": ["Mg", "Mg", "Mg", "Mg", "Mg", "Mg", "Mg", "Mg", "Mg", "Mg", "Mg", "Mg", "Mg", "Mg", "Mg", "Mg", "Mg", "Mg", "Si", "Si", "Si", "Si", "Si", "Si", "Si", "Si", "Si", "Si"],
  "fractional_positions": [[0.0000, 0.0000, 0.0000], [0.0003, 0.7106, 0.6246], [0.1719, 0.1151, 0.6362], [0.2166, 0.1547, 0.3137], [0.2699, 0.2672, 0.9923], [0.3712, 0.7524, 0.4950], [0.3949, 0.7987, 0.1516], [0.4270, 0.9261, 0.8506], [0.4447, 0.5245, 0.7879], [0.5853, 0.0454, 0.4624], [0.5931, 0.1936, 0.1543], [0.6064, 0.1872, 0.6499], [0.7054, 0.4016, 0.3173], [0.7582, 0.4874, 0.9675], [0.8534, 0.5130, 0.4954], [0.9703, 0.6062, 0.1488], [0.9762, 0.7620, 0.8534], [0.9923, 0.8659, 0.3222], [0.0960, 0.3616, 0.8013], [0.2725, 0.4389, 0.4892], [0.3059, 0.4807, 0.2926], [0.3308, 0.6052, 0.9934], [0.5778, 0.7925, 0.6548], [0.6345, 0.8086, 0.3165], [0.6628, 0.9104, 0.0068], [0.8523, 0.1971, 0.8037], [0.9447, 0.0971, 0.4818], [0.9825, 0.2070, 0.1502]]
}

***

5.
{
  "formula": "ScTl2Mo15S19",
  "functional": "PBE",
  "state": "optimized geometry",
  "formation_enthalpy_0k_ev_per_atom": -1.00,
  "density_g_cm3": 5.56,
  "spacegroup": "No. 11",
  "m_tot_mub_per_atom": 0.00,
  "lattice": [[9.4822, 0.0000, 0.0000], [0.0000, 18.9214, 0.0000], [-4.6659, 0.0000, 8.3257]],
  "species": ["Sc", "Sc", "Tl", "Tl", "Tl", "Tl", "Mo", "Mo", "Mo", "Mo", "Mo", "Mo", "Mo", "Mo", "Mo", "Mo", "Mo", "Mo", "Mo", "Mo", "Mo", "Mo", "Mo", "Mo", "Mo", "Mo", "Mo", "Mo", "Mo", "Mo", "Mo", "Mo", "Mo", "Mo", "Mo", "Mo", "S", "S", "S", "S", "S", "S", "S", "S", "S", "S", "S", "S", "S", "S", "S", "S", "S", "S", "S", "S", "S", "S", "S", "S", "S", "S", "S", "S", "S", "S", "S", "S", "S", "S", "S", "S", "S", "S"],
  "fractional_positions": [[0.1632, 0.2500, 0.1871], [0.8368, 0.7500, 0.8129], [0.3342, 0.1275, 0.6693], [0.3342, 0.3725, 0.6693], [0.6658, 0.6275, 0.3307], [0.6658, 0.8725, 0.3307], [0.0133, 0.5591, 0.1709], [0.0133, 0.9409, 0.1709], [0.1556, 0.5583, 0.9844], [0.1556, 0.9417, 0.9844], [0.1590, 0.7500, 0.5076], [0.1738, 0.0601, 0.1586], [0.1738, 0.4399, 0.1586], [0.1801, 0.6303, 0.6827], [0.1801, 0.8697, 0.6827], [0.3172, 0.6313, 0.4975], [0.3172, 0.8687, 0.4975], [0.3445, 0.7500, 0.8383], [0.4846, 0.7500, 0.6503], [0.4988, 0.1301, 0.1813], [0.4988, 0.3699, 0.1813], [0.5012, 0.6301, 0.8187], [0.5012, 0.8699, 0.8187], [0.5154, 0.2500, 0.3497], [0.6555, 0.2500, 0.1617], [0.6828, 0.1313, 0.5025], [0.6828, 0.3687, 0.5025], [0.8199, 0.1303, 0.3173], [0.8199, 0.3697, 0.3173], [0.8262, 0.5601, 0.8414], [0.8262, 0.9399, 0.8414], [0.8410, 0.2500, 0.4924], [0.8444, 0.0583, 0.0156], [0.8444, 0.4417, 0.0156], [0.9867, 0.0591, 0.8291], [0.9867, 0.4409, 0.8291], [0.0037, 0.6576, 0.0037], [0.0037, 0.8424, 0.0037], [0.0208, 0.6397, 0.3867], [0.0208, 0.8603, 0.3867], [0.0304, 0.0513, 0.3111], [0.0304, 0.4487, 0.3111], [0.0446, 0.7500, 0.6956], [0.2827, 0.0522, 0.9708], [0.2827, 0.4478, 0.9708], [0.3064, 0.7500, 0.3567], [0.3108, 0.5506, 0.2811], [0.3108, 0.9494, 0.2811], [0.3336, 0.5327, 0.6662], [0.3336, 0.9673, 0.6662], [0.3534, 0.2500, 0.0507], [0.3644, 0.6400, 0.9797], [0.3644, 0.8600, 0.9797], [0.3817, 0.1409, 0.3665], [0.3817, 0.3591, 0.3665], [0.6183, 0.6409, 0.6335], [0.6183, 0.8591, 0.6335], [0.6356, 0.1400, 0.0203], [0.6356, 0.3600, 0.0203], [0.6466, 0.7500, 0.9493], [0.6664, 0.0327, 0.3338], [0.6664, 0.4673, 0.3338], [0.6892, 0.0506, 0.7189], [0.6892, 0.4494, 0.7189], [0.6936, 0.2500, 0.6433], [0.7173, 0.5522, 0.0292], [0.7173, 0.9478, 0.0292], [0.9554, 0.2500, 0.3044], [0.9696, 0.5513, 0.6889], [0.9696, 0.9487, 0.6889], [0.9792, 0.1397, 0.6133], [0.9792, 0.3603, 0.6133], [0.9963, 0.1576, 0.9963], [0.9963, 0.3424, 0.9963]]
}

***

6.
{
  "formula": "NaCa3",
  "functional": "PBE",
  "state": "optimized geometry",
  "formation_enthalpy_0k_ev_per_atom": 0.07,
  "density_g_cm3": 1.44,
  "spacegroup": "No. 139",
  "lattice": [[-2.6946, 2.6946, 5.6821], [2.6946, -2.6946, 5.6821], [2.6946, 2.6946, -5.6821]],
  "species": ["Na", "Ca", "Ca", "Ca"],
  "fractional_positions": [[0.0000, 0.0000, 0.0000], [0.2500, 0.7500, 0.5000], [0.5000, 0.5000, 0.0000], [0.7500, 0.2500, 0.5000]]
}

***

7.
{
  "formula": "K4B9Se9",
  "functional": "PBE",
  "state": "optimized geometry",
  "formation_enthalpy_0k_ev_per_atom": -0.76,
  "density_g_cm3": 2.91,
  "spacegroup": "No. 1",
  "m_tot_mub_per_atom": 0.00,
  "de_polymorph_mev_per_atom": 3,
  "lattice": [[10.0192, 0.0000, 0.0000], [-4.4832, 15.6279, 0.0000], [-2.7680, -7.8140, 21.0882]],
  "species": ["K", "K", "K", "K", "K", "K", "K", "K", "K", "K", "K", "K", "K", "K", "K", "K", "K", "K", "K", "K", "K", "K", "K", "K", "B", "B", "B", "B", "B", "B", "B", "B", "B", "B", "B", "B", "B", "B", "B", "B", "B", "B", "B", "B", "B", "B", "B", "B", "B", "B", "B", "B", "B", "B", "B", "B", "B", "B", "B", "B", "B", "B", "B", "B", "B", "B", "B", "B", "B", "B", "B", "B", "B", "B", "B", "B", "B", "B", "Se", "Se", "Se", "Se", "Se", "Se", "Se", "Se", "Se", "Se", "Se", "Se", "Se", "Se", "Se", "Se", "Se", "Se", "Se", "Se", "Se", "Se", "Se", "Se", "Se", "Se", "Se", "Se", "Se", "Se", "Se", "Se", "Se", "Se", "Se", "Se", "Se", "Se", "Se", "Se", "Se", "Se", "Se", "Se", "Se", "Se", "Se", "Se", "Se", "Se", "Se", "Se", "Se", "Se"],
  "fractional_positions": [[0.0000, 0.0000, 0.0000], [0.0025, 0.7014, 0.6296], [0.0382, 0.6666, 0.0000], [0.1337, 0.6462, 0.3193], [0.1377, 0.2596, 0.8347], [0.1992, 0.7649, 0.8500], [0.2716, 0.3664, 0.3767], [0.2779, 0.0841, 0.5496], [0.3030, 0.4249, 0.1653], [0.3424, 0.9127, 0.1452], [0.3624, 0.5518, 0.0000], [0.3729, 0.0718, 0.3704], [0.3807, 0.7665, 0.5184], [0.4078, 0.0120, 0.7173], [0.6889, 0.7544, 0.9972], [0.6905, 0.2947, 0.2827], [0.7076, 0.4158, 0.8537], [0.7284, 0.5346, 0.4504], [0.7689, 0.9075, 0.8058], [0.8143, 0.3269, 0.6807], [0.8539, 0.5620, 0.1463], [0.8623, 0.2481, 0.4816], [0.8949, 0.9897, 0.6233], [0.9631, 0.1017, 0.1942], [0.0125, 0.8413, 0.4939], [0.1752, 0.5342, 0.5033], [0.1840, 0.4952, 0.8211], [0.2231, 0.9777, 0.8326], [0.2446, 0.4892, 0.6210], [0.2640, 0.2420, 0.6819], [0.2703, 0.4194, 0.6669], [0.2738, 0.5318, 0.7059], [0.3562, 0.4186, 0.6034], [0.3629, 0.6741, 0.1789], [0.3635, 0.6023, 0.6665], [0.3835, 0.1334, 0.9555], [0.3905, 0.1451, 0.1674], [0.3967, 0.4878, 0.7369], [0.4070, 0.5302, 0.6000], [0.4280, 0.1779, 0.0445], [0.4324, 0.0675, 0.0000], [0.4439, 0.8852, 0.0000], [0.4465, 0.4171, 0.6735], [0.4619, 0.6025, 0.7392], [0.4940, 0.2502, 0.0000], [0.5003, 0.0723, 0.9337], [0.5187, 0.3474, 0.5061], [0.5360, 0.4872, 0.6341], [0.5401, 0.1848, 0.9336], [0.5412, 0.6004, 0.6723], [0.5467, 0.7817, 0.6636], [0.5664, 0.5316, 0.7189], [0.5666, 0.1385, 0.0663], [0.5678, 0.8259, 0.2941], [0.5822, 0.5601, 0.3181], [0.6034, 0.7525, 0.3331], [0.6065, 0.2512, 0.0664], [0.6110, 0.0725, 0.0000], [0.6236, 0.8682, 0.3790], [0.6519, 0.4355, 0.0000], [0.6598, 0.7509, 0.2631], [0.6719, 0.0309, 0.4967], [0.6745, 0.2566, 0.0000], [0.6784, 0.1452, 0.9556], [0.6970, 0.9358, 0.3335], [0.7202, 0.1780, 0.8358], [0.7229, 0.1896, 0.0444], [0.7228, 0.8633, 0.2608], [0.7369, 0.6884, 0.8374], [0.7529, 0.8152, 0.3966], [0.7730, 0.7437, 0.3265], [0.8070, 0.9302, 0.4000], [0.8475, 0.8127, 0.2811], [0.8688, 0.9281, 0.3277], [0.8832, 0.1182, 0.3364], [0.8844, 0.3422, 0.1642], [0.8995, 0.8510, 0.1626], [0.9019, 0.8531, 0.3659], [0.0126, 0.0448, 0.3327], [0.0301, 0.4232, 0.2407], [0.0716, 0.4800, 0.5604], [0.0752, 0.4727, 0.8824], [0.0772, 0.5657, 0.4405], [0.0782, 0.8950, 0.7604], [0.0907, 0.8685, 0.4221], [0.1202, 0.5436, 0.7550], [0.1257, 0.3006, 0.6597], [0.1385, 0.8647, 0.5723], [0.1919, 0.0852, 0.8987], [0.1928, 0.5903, 0.1176], [0.2029, 0.1289, 0.6957], [0.2931, 0.1864, 0.1013], [0.3032, 0.9492, 0.0000], [0.3178, 0.1346, 0.2396], [0.3252, 0.3133, 0.5223], [0.3456, 0.7219, 0.6653], [0.3629, 0.4658, 0.8179], [0.3653, 0.7886, 0.2450], [0.3748, 0.7615, 0.9973], [0.3871, 0.5567, 0.5202], [0.4150, 0.9660, 0.8521], [0.4549, 0.3654, 0.0000], [0.4660, 0.6409, 0.3403], [0.4706, 0.3044, 0.6870], [0.5072, 0.4331, 0.3043], [0.5112, 0.9196, 0.4396], [0.5411, 0.2045, 0.8475], [0.5451, 0.6480, 0.1821], [0.5524, 0.7095, 0.8209], [0.5629, 0.1138, 0.1479], [0.5663, 0.2924, 0.4277], [0.6063, 0.9006, 0.6583], [0.6367, 0.1252, 0.5595], [0.6422, 0.9545, 0.0000], [0.6686, 0.4464, 0.5779], [0.6803, 0.0566, 0.3347], [0.6799, 0.7120, 0.6673], [0.6936, 0.3570, 0.1525], [0.6996, 0.5588, 0.0000], [0.7314, 0.8886, 0.1791], [0.7558, 0.5746, 0.7802], [0.7836, 0.6174, 0.3130], [0.7894, 0.1825, 0.7593], [0.7999, 0.3772, 0.0000], [0.8029, 0.7910, 0.4777], [0.8132, 0.1353, 0.8963], [0.8669, 0.0364, 0.4798], [0.8973, 0.7749, 0.9036], [0.9169, 0.2390, 0.1037], [0.9480, 0.2424, 0.3417], [0.9756, 0.7944, 0.2198], [0.9938, 0.8713, 0.0964]]
}

***

8.
{
  "formula": "CsSmZnTe3",
  "functional": "PBE",
  "state": "optimized geometry",
  "formation_enthalpy_0k_ev_per_atom": -1.32,
  "density_g_cm3": 5.23,
  "spacegroup": "No. 63",
  "m_tot_mub_per_atom": 0.00,
  "lattice": [[2.2470, -8.6727, 0.0000], [2.2470, 8.6727, 0.0000], [0.0000, 0.0000, 11.9224]],
  "species": ["Cs", "Cs", "Sm", "Sm", "Zn", "Zn", "Te", "Te", "Te", "Te", "Te", "Te"],
  "fractional_positions": [[0.2471, 0.7529, 0.7500], [0.7529, 0.2471, 0.2500], [0.5000, 0.5000, 0.0000], [0.5000, 0.5000, 0.5000], [0.0351, 0.9649, 0.2500], [0.9649, 0.0351, 0.7500], [0.1198, 0.8802, 0.0630], [0.1198, 0.8802, 0.4370], [0.4394, 0.5606, 0.2500], [0.5606, 0.4394, 0.7500], [0.8802, 0.1198, 0.5630], [0.8802, 0.1198, 0.9370]]
}